Record 1
Compound: Tm5In4
Source: Materials Project
Functional: PBE
Structure: optimized geometry

```
Tm5In4
1.0
5.257 7.217 -2.073
-7.497 -1.785 -4.963
-3.601 3.793 4.075
Tm In
10 8
Cartesian
-5.046 3.112 -1.962
-0.795 6.113 -0.999
1.006 4.216 -3.036
-3.246 1.216 -3.999
-1.185 4.926 2.459
2.841 6.085 -0.457
-4.862 2.330 1.625
-6.236 -0.322 -2.513
-4.295 6.711 -1.951
-1.546 2.515 -1.010
-1.800 1.897 2.038
0.000 0.000 0.000
0.597 7.371 1.756
1.060 3.639 0.246
-7.402 1.725 -0.056
-3.696 0.283 -0.832
-3.536 4.870 0.433
-2.305 4.355 -3.394
```

Calculated values
The formation energy is -348 kJ/mol of formula units. For the total energy, the calculation gives -36.996 eV per formula unit. As for the space group: P6_3/mcm, No. 193. The crystal system is hexagonal.

---

Record 2
Compound: Tm5In3
Source: Materials Project
Functional: PBE
Structure: optimized geometry

```
Tm5In3
1.0
5.664 -1.215 -3.105
4.118 -0.846 7.842
-3.665 -7.133 -3.893
Tm In
10 6
Cartesian
1.762 -5.645 -1.534
4.356 -3.550 2.378
1.523 -2.942 3.930
-1.071 -5.037 0.018
5.250 -1.117 -0.421
4.590 -6.948 0.657
7.473 -3.494 4.564
4.532 -0.944 5.158
1.527 -2.246 0.186
-1.356 -5.700 -3.721
6.727 -1.421 2.392
4.428 -4.085 -0.759
6.158 -6.053 3.167
3.055 -0.641 2.345
1.689 -5.109 1.603
-0.041 -3.141 -2.324
```

Calculated values
The formation energy is -268 kJ/mol of formula units. For the total energy, the calculation gives -33.409 eV per formula unit. As for the space group: Cmcm, No. 63. The crystal system is orthorhombic.

---

Record 3
Compound: Tm3In
Source: Materials Project
Functional: PBE
Structure: optimized geometry

```
Tm3In
1.0
-3.006 2.409 5.639
-1.770 -6.118 -2.465
3.873 -2.358 3.072
Tm In
6 2
Cartesian
0.108 -0.804 6.570
1.586 -1.989 3.797
-0.763 -3.812 5.358
-1.011 -5.263 -0.324
-2.490 -4.078 2.449
-0.141 -2.255 0.888
-1.626 -1.023 3.706
0.722 -5.044 2.540
```

Calculated values
The formation energy is -93 kJ/mol of formula units. For the total energy, the calculation gives -17.146 eV per formula unit. As for the space group: P6_3/mmc, No. 194. The crystal system is hexagonal.